[1]
# UNiGe | the Materials Project | PBE | optimized geometry
# - Raw total energy: -7.613 eV per atom
# - Calculated volume: 17.4 Å³/atom
# - Magnetization: 0.665 μB/atom
# - ΔE_f: -0.38 eV/atom
data_UNiGe
_chemical_formula_sum 'U4 Ni4 Ge4'
_symmetry_space_group_name_H-M 'P n m a'
_symmetry_Int_Tables_number 62
_symmetry_space_group_name_Hall '-P 2ac 2n'
_cell_length_a 6.845
_cell_length_b 4.297
_cell_length_c 7.102
_cell_angle_alpha 90.00
_cell_angle_beta 90.00
_cell_angle_gamma 90.00
loop_
_atom_site_label
_atom_site_type_symbol
_atom_site_fract_x
_atom_site_fract_y
_atom_site_fract_z
U1 U 0.017 0.250 0.200
Ni1 Ni 0.191 0.750 0.421
Ge1 Ge 0.195 0.250 0.592

***

[2]
# UNi5Ge3 | the Materials Project | PBE | optimized geometry
# - Raw total energy: -6.370 eV per atom
# - Calculated volume: 13.9 Å³/atom
# - Magnetization: 0.229 μB/atom
# - ΔE_f: -0.36 eV/atom
data_UNi5Ge3
_chemical_formula_sum 'U4 Ni20 Ge12'
_symmetry_space_group_name_H-M 'P n m a'
_symmetry_Int_Tables_number 62
_symmetry_space_group_name_Hall '-P 2ac 2n'
_cell_length_a 19.018
_cell_length_b 3.893
_cell_length_c 6.773
_cell_angle_alpha 90.00
_cell_angle_beta 90.00
_cell_angle_gamma 90.00
loop_
_atom_site_label
_atom_site_type_symbol
_atom_site_fract_x
_atom_site_fract_y
_atom_site_fract_z
U1 U 0.146 0.250 0.122
Ni1 Ni 0.004 0.750 0.131
Ni2 Ni 0.015 0.250 0.380
Ni3 Ni 0.109 0.250 0.644
Ni4 Ni 0.201 0.750 0.807
Ni5 Ni 0.211 0.750 0.411
Ge1 Ge 0.076 0.750 0.854
Ge2 Ge 0.087 0.750 0.407
Ge3 Ge 0.232 0.250 0.605

***

[3]
# UNi2Ge2 | the Materials Project | PBE | optimized geometry
# - Raw total energy: -6.765 eV per atom
# - Calculated volume: 16.1 Å³/atom
# - Magnetization: 0.004 μB/atom
# - ΔE_f: -0.35 eV/atom
data_UNi2Ge2
_chemical_formula_sum 'U2 Ni4 Ge4'
_symmetry_space_group_name_H-M 'I 4/m m m'
_symmetry_Int_Tables_number 139
_symmetry_space_group_name_Hall '-I 4 2'
_cell_length_a 4.051
_cell_length_b 4.051
_cell_length_c 9.788
_cell_angle_alpha 90.00
_cell_angle_beta 90.00
_cell_angle_gamma 90.00
loop_
_atom_site_label
_atom_site_type_symbol
_atom_site_fract_x
_atom_site_fract_y
_atom_site_fract_z
U1 U 0.000 0.000 0.000
Ni1 Ni 0.000 0.500 0.250
Ge1 Ge 0.000 0.000 0.374

***

[4]
# YNi2Ge2 | the Materials Project | PBE | optimized geometry
# - Raw total energy: -6.151 eV per atom
# - Calculated volume: 16.3 Å³/atom
# - ΔE_f: -0.70 eV/atom
data_YNi2Ge2
_chemical_formula_sum 'Y2 Ni4 Ge4'
_symmetry_space_group_name_H-M 'I 4/m m m'
_symmetry_Int_Tables_number 139
_symmetry_space_group_name_Hall '-I 4 2'
_cell_length_a 4.067
_cell_length_b 4.067
_cell_length_c 9.825
_cell_angle_alpha 90.00
_cell_angle_beta 90.00
_cell_angle_gamma 90.00
loop_
_atom_site_label
_atom_site_type_symbol
_atom_site_fract_x
_atom_site_fract_y
_atom_site_fract_z
Y1 Y 0.000 0.000 0.000
Ni1 Ni 0.000 0.500 0.250
Ge1 Ge 0.000 0.000 0.371

***

[5]
# Y3NiGe2 | the Materials Project | PBE | optimized geometry
# - Raw total energy: -6.548 eV per atom
# - Calculated volume: 22.4 Å³/atom
# - ΔE_f: -0.81 eV/atom
data_Y3NiGe2
_chemical_formula_sum 'Y12 Ni4 Ge8'
_symmetry_space_group_name_H-M 'P n m a'
_symmetry_Int_Tables_number 62
_symmetry_space_group_name_Hall '-P 2ac 2n'
_cell_length_a 11.386
_cell_length_b 4.166
_cell_length_c 11.328
_cell_angle_alpha 90.00
_cell_angle_beta 90.00
_cell_angle_gamma 90.00
loop_
_atom_site_label
_atom_site_type_symbol
_atom_site_fract_x
_atom_site_fract_y
_atom_site_fract_z
Y1 Y 0.058 0.250 0.126
Y2 Y 0.118 0.750 0.559
Y3 Y 0.216 0.250 0.804
Ni1 Ni 0.131 0.250 0.366
Ge1 Ge 0.022 0.750 0.313
Ge2 Ge 0.194 0.750 0.997

***

[6]
# Y2NiGe6 | the Materials Project | PBE | optimized geometry
# - Raw total energy: -5.682 eV per atom
# - Calculated volume: 19.5 Å³/atom
# - Magnetization: 0.000 μB/atom
# - ΔE_f: -0.52 eV/atom
data_Y2NiGe6
_chemical_formula_sum 'Y4 Ni2 Ge12'
_symmetry_space_group_name_H-M 'A m m 2'
_symmetry_Int_Tables_number 38
_symmetry_space_group_name_Hall 'A 2 -2'
_cell_length_a 4.069
_cell_length_b 4.025
_cell_length_c 21.404
_cell_angle_alpha 90.00
_cell_angle_beta 90.00
_cell_angle_gamma 90.00
loop_
_atom_site_label
_atom_site_type_symbol
_atom_site_fract_x
_atom_site_fract_y
_atom_site_fract_z
Y1 Y 0.000 0.000 0.000
Y2 Y 0.000 0.000 0.337
Ni1 Ni 0.500 0.000 0.559
Ge1 Ge 0.000 0.000 0.615
Ge2 Ge 0.000 0.000 0.732
Ge3 Ge 0.500 0.000 0.116
Ge4 Ge 0.500 0.000 0.233
Ge5 Ge 0.500 0.000 0.451
Ge6 Ge 0.500 0.000 0.877

***

[7]
# Y3Ni11Ge4 | the Materials Project | PBE | optimized geometry
# - Raw total energy: -6.074 eV per atom
# - Calculated volume: 14.3 Å³/atom
# - Magnetization: 0.013 μB/atom
# - ΔE_f: -0.44 eV/atom
data_Y3Ni11Ge4
_chemical_formula_sum 'Y6 Ni22 Ge8'
_symmetry_space_group_name_H-M 'P 63/m m c'
_symmetry_Int_Tables_number 194
_symmetry_space_group_name_Hall '-P 6c 2c'
_cell_length_a 8.3216
_cell_length_b 8.3216
_cell_length_c 8.5606
_cell_angle_alpha 90.00
_cell_angle_beta 90.00
_cell_angle_gamma 120.00
loop_
_atom_site_label
_atom_site_type_symbol
_atom_site_fract_x
_atom_site_fract_y
_atom_site_fract_z
Y1 Y 0.1955 0.3911 0.2500
Ni1 Ni 0.1320 0.5660 0.7500
Ni2 Ni 0.1583 0.3167 0.5956
Ni3 Ni 0.3333 0.6667 0.5059
Ge1 Ge 0.0000 0.0000 0.2500
Ge2 Ge 0.0000 0.5000 0.0000

***

[8]
# YNi5Ge3 | the Materials Project | PBE | optimized geometry
# - Raw total energy: -6.004 eV per atom
# - Calculated volume: 14.0 Å³/atom
# - ΔE_f: -0.53 eV/atom
data_YNi5Ge3
_chemical_formula_sum 'Y4 Ni20 Ge12'
_symmetry_space_group_name_H-M 'P n m a'
_symmetry_Int_Tables_number 62
_symmetry_space_group_name_Hall '-P 2ac 2n'
_cell_length_a 19.143
_cell_length_b 3.872
_cell_length_c 6.807
_cell_angle_alpha 90.00
_cell_angle_beta 90.00
_cell_angle_gamma 90.00
loop_
_atom_site_label
_atom_site_type_symbol
_atom_site_fract_x
_atom_site_fract_y
_atom_site_fract_z
Y1 Y 0.145 0.250 0.122
Ni1 Ni 0.004 0.750 0.134
Ni2 Ni 0.014 0.250 0.383
Ni3 Ni 0.113 0.250 0.643
Ni4 Ni 0.200 0.750 0.810
Ni5 Ni 0.208 0.750 0.426
Ge1 Ge 0.076 0.750 0.851
Ge2 Ge 0.086 0.750 0.409
Ge3 Ge 0.237 0.250 0.617

***

[9]
# Y2NiGe3 | the Materials Project | PBE | optimized geometry
# - Raw total energy: -6.144 eV per atom
# - Calculated volume: 19.8 Å³/atom
# - Magnetization: 0.000 μB/atom
# - ΔE_f: -0.71 eV/atom
data_Y2NiGe3
_chemical_formula_sum 'Y2 Ni1 Ge3'
_symmetry_space_group_name_H-M 'P m m 2'
_symmetry_Int_Tables_number 25
_symmetry_space_group_name_Hall 'P 2 -2'
_cell_length_a 4.041
_cell_length_b 4.187
_cell_length_c 7.022
_cell_angle_alpha 90.00
_cell_angle_beta 90.00
_cell_angle_gamma 90.00
loop_
_atom_site_label
_atom_site_type_symbol
_atom_site_fract_x
_atom_site_fract_y
_atom_site_fract_z
Y1 Y 0.000 0.000 0.000
Y2 Y 0.000 0.500 0.493
Ni1 Ni 0.500 0.000 0.317
Ge1 Ge 0.500 0.000 0.641
Ge2 Ge 0.500 0.500 0.185
Ge3 Ge 0.500 0.500 0.833

***

[10]
# YNiGe2 | the Materials Project | PBE | optimized geometry
# - Raw total energy: -6.075 eV per atom
# - Calculated volume: 17.9 Å³/atom
# - ΔE_f: -0.70 eV/atom
data_YNiGe2
_chemical_formula_sum 'Y4 Ni4 Ge8'
_symmetry_space_group_name_H-M 'C m c m'
_symmetry_Int_Tables_number 63
_symmetry_space_group_name_Hall '-C 2c 2'
_cell_length_a 4.095
_cell_length_b 16.628
_cell_length_c 4.207
_cell_angle_alpha 90.00
_cell_angle_beta 90.00
_cell_angle_gamma 90.00
loop_
_atom_site_label
_atom_site_type_symbol
_atom_site_fract_x
_atom_site_fract_y
_atom_site_fract_z
Y1 Y 0.000 0.108 0.250
Ni1 Ni 0.000 0.321 0.250
Ge1 Ge 0.000 0.253 0.750
Ge2 Ge 0.000 0.458 0.250

***

[11]
# ZnNi13Ge8 | the Materials Project | PBE | optimized geometry
# - Raw total energy: -5.454 eV per atom
# - Calculated volume: 12.4 Å³/atom
# - Magnetization: 0.000 μB/atom
# - ΔE_f: -0.30 eV/atom
data_ZnNi13Ge8
_chemical_formula_sum 'Zn3 Ni39 Ge24'
_symmetry_space_group_name_H-M 'P 31 2 1'
_symmetry_Int_Tables_number 152
_symmetry_space_group_name_Hall 'P 31 2"'
_cell_length_a 7.8793
_cell_length_b 7.8793
_cell_length_c 15.1917
_cell_angle_alpha 90.00
_cell_angle_beta 90.00
_cell_angle_gamma 120.00
loop_
_atom_site_label
_atom_site_type_symbol
_atom_site_fract_x
_atom_site_fract_y
_atom_site_fract_z
Zn1 Zn 0.0000 0.4967 0.1667
Ni1 Ni 0.9996 0.5003 0.8339
Ni2 Ni 0.0000 0.5013 0.6667
Ni3 Ni 0.0000 0.9993 0.1667
Ni4 Ni 0.0000 0.9991 0.6667
Ni5 Ni 0.0029 0.5053 0.3325
Ni6 Ni 0.1600 0.3360 0.2486
Ni7 Ni 0.1620 0.8237 0.2431
Ni8 Ni 0.3220 0.6589 0.0863
Ge1 Ge 0.1197 0.8102 0.7482
Ge2 Ge 0.1248 0.3141 0.4114
Ge3 Ge 0.1669 0.3344 0.7494
Ge4 Ge 0.3101 0.6239 0.9217

***

[12]
# ZnNi2Ge | the Materials Project | PBE | optimized geometry
# - Raw total energy: -4.598 eV per atom
# - Calculated volume: 12.3 Å³/atom
# - Magnetization: 0.000 μB/atom
# - ΔE_f: -0.24 eV/atom
data_ZnNi2Ge
_chemical_formula_sum 'Zn4 Ni8 Ge4'
_symmetry_space_group_name_H-M 'F m -3 m'
_symmetry_Int_Tables_number 225
_symmetry_space_group_name_Hall '-F 4 2 3'
_cell_length_a 5.811
_cell_length_b 5.811
_cell_length_c 5.811
_cell_angle_alpha 90.00
_cell_angle_beta 90.00
_cell_angle_gamma 90.00
loop_
_atom_site_label
_atom_site_type_symbol
_atom_site_fract_x
_atom_site_fract_y
_atom_site_fract_z
Zn1 Zn 0.000 0.000 0.000
Ni1 Ni 0.250 0.250 0.250
Ge1 Ge 0.000 0.000 0.500